(one)
A plane-wave DFT calculation with PBE+U was carried out for LiV2O4 after structural relaxation.

a = 5.2824 Å, b = 10.5522 Å, c = 10.1104 Å
α = 16.63°, β = 28.08°, γ = 32.29°
Sites, in units of the cell vectors:
Li1 0.5000 0.5000 0.5000
V1 0.0000 0.5000 0.0000
V2 0.0000 0.0000 0.0000
O1 0.2899 0.4999 0.2536
O2 0.7101 0.5001 0.7464
O3 0.2535 0.0000 0.2639
O4 0.7465 0.0000 0.7361

SG ... P2/m (10)

---

(two)
A plane-wave DFT calculation with PBE+U was carried out for LiV2O4 after structural relaxation.

a = 5.9823 Å, b = 5.9710 Å, c = 6.0054 Å
α = 59.70°, β = 59.65°, γ = 60.83°
Sites, in units of the cell vectors:
Li1 0.8747 0.8743 0.8750
Li2 0.1253 0.1257 0.1250
V1 0.5000 0.0000 0.5000
V2 0.0000 0.5000 0.5000
V3 0.5000 0.5000 0.0000
V4 0.5000 0.5000 0.5000
O1 0.2712 0.2714 0.2479
O2 0.2714 0.2695 0.7088
O3 0.7288 0.7286 0.7521
O4 0.7286 0.7305 0.2912
O5 0.2861 0.7256 0.7438
O6 0.2724 0.7136 0.2580
O7 0.7139 0.2744 0.2562
O8 0.7276 0.2864 0.7420

SG ... P-1 (2)

---

(three)
A plane-wave DFT calculation with PBE+U was carried out for LiV2O4 after structural relaxation.

a = 5.9253 Å, b = 5.9253 Å, c = 5.9253 Å
α = 60.00°, β = 60.00°, γ = 60.00°
Sites, in units of the cell vectors:
Li1 0.2500 0.2500 0.2500
Li2 0.0000 0.0000 0.0000
V1 0.6250 0.6250 0.6250
V2 0.1250 0.6250 0.6250
V3 0.6250 0.6250 0.1250
V4 0.6250 0.1250 0.6250
O1 0.8640 0.4079 0.8640
O2 0.8640 0.8640 0.4079
O3 0.3860 0.8421 0.3860
O4 0.3860 0.3860 0.8421
O5 0.8421 0.3860 0.3860
O6 0.8640 0.8640 0.8640
O7 0.4079 0.8640 0.8640
O8 0.3860 0.3860 0.3860

SG ... Fd-3m (227)

---

Taking the most stable structure as the zero point, the relative energies in eV/atom are (one) 0.081; (two) 0.000; (three) 0.026.

---

(one)
A plane-wave DFT calculation with PBE+U was carried out for Li2Mn3VO8 after structural relaxation.

a = 8.1750 Å, b = 8.5757 Å, c = 8.6201 Å
α = 90.00°, β = 90.00°, γ = 90.00°
Sites, in units of the cell vectors:
Li1 0.4978 0.9934 0.5025
Li2 0.7548 0.2481 0.7491
Li3 0.2452 0.7481 0.7509
Li4 0.5022 0.4934 0.9975
Li5 0.0022 0.0066 0.0025
Li6 0.7452 0.7519 0.2491
Li7 0.2548 0.2519 0.2509
Li8 0.9978 0.5066 0.4975
Mn1 0.6223 0.6251 0.6312
Mn2 0.8754 0.8680 0.6185
Mn3 0.1266 0.1213 0.6212
Mn4 0.8734 0.6213 0.8788
Mn5 0.1246 0.3680 0.8815
Mn6 0.3777 0.1251 0.8688
Mn7 0.8777 0.3749 0.1312
Mn8 0.6246 0.1320 0.1185
Mn9 0.3734 0.8787 0.1212
Mn10 0.6266 0.3787 0.3788
Mn11 0.3754 0.6320 0.3815
Mn12 0.1223 0.8749 0.3688
V1 0.3678 0.3787 0.6259
V2 0.6322 0.8787 0.8741
V3 0.1322 0.6213 0.1259
V4 0.8678 0.1213 0.3741
O1 0.6138 0.3964 0.6173
O2 0.3887 0.6085 0.6318
O3 0.1104 0.8712 0.5944
O4 0.6341 0.8532 0.6407
O5 0.8910 0.1063 0.6059
O6 0.8610 0.6360 0.6432
O7 0.1479 0.3742 0.6238
O8 0.3657 0.1387 0.6395
O9 0.6343 0.6387 0.8605
O10 0.8521 0.8742 0.8762
O11 0.1390 0.1360 0.8568
O12 0.1090 0.6063 0.8941
O13 0.3659 0.3532 0.8593
O14 0.8896 0.3712 0.9056
O15 0.6113 0.1085 0.8682
O16 0.3862 0.8964 0.8827
O17 0.8862 0.6036 0.1173
O18 0.1113 0.3915 0.1318
O19 0.3896 0.1288 0.0944
O20 0.8659 0.1468 0.1407
O21 0.6090 0.8937 0.1059
O22 0.6390 0.3640 0.1432
O23 0.3521 0.6258 0.1238
O24 0.1343 0.8613 0.1395
O25 0.8657 0.3613 0.3605
O26 0.6479 0.1258 0.3762
O27 0.3610 0.8640 0.3568
O28 0.3910 0.3937 0.3941
O29 0.1341 0.6468 0.3593
O30 0.6104 0.6288 0.4056
O31 0.8887 0.8915 0.3682
O32 0.1138 0.1036 0.3827

SG ... P2_12_12_1 (19)

---

(two)
A plane-wave DFT calculation with PBE+U was carried out for Li2Mn3VO8 after structural relaxation.

a = 5.8385 Å, b = 5.8385 Å, c = 9.6144 Å
α = 90.00°, β = 90.00°, γ = 117.94°
Sites, in units of the cell vectors:
Li1 0.1700 0.8300 0.1040
Li2 0.5054 0.4946 0.0062
Li3 0.4946 0.5054 0.5062
Li4 0.8300 0.1700 0.6040
Mn1 0.8390 0.6727 0.7865
Mn2 0.3273 0.1610 0.7865
Mn3 0.3309 0.6691 0.7855
Mn4 0.6691 0.3309 0.2855
Mn5 0.6727 0.8390 0.2865
Mn6 0.1610 0.3273 0.2865
V1 0.1634 0.8366 0.5122
V2 0.8366 0.1634 0.0122
O1 0.8185 0.6567 0.3999
O2 0.0190 0.9810 0.6349
O3 0.1667 0.8333 0.8897
O4 0.5029 0.4971 0.6933
O5 0.4971 0.5029 0.1933
O6 0.3433 0.1815 0.3999
O7 0.0263 0.5407 0.6656
O8 0.4593 0.9737 0.6656
O9 0.6799 0.3201 0.9180
O10 0.3201 0.6799 0.4180
O11 0.5407 0.0263 0.1656
O12 0.9737 0.4593 0.1656
O13 0.8333 0.1667 0.3897
O14 0.6567 0.8185 0.8999
O15 0.9810 0.0190 0.1349
O16 0.1815 0.3433 0.8999

SG ... Cmc2_1 (36)

---

Taking the most stable structure as the zero point, the relative energies in eV/atom are (one) 0.000; (two) 0.021.

---

(one)
A plane-wave DFT calculation with PBE+U was carried out for Li3MnCo2O6 after structural relaxation.

a = 5.0923 Å, b = 6.4279 Å, c = 6.9102 Å
α = 84.37°, β = 79.81°, γ = 84.57°
Sites, in units of the cell vectors:
Li1 0.7500 0.4167 0.0833
Li2 0.2500 0.9167 0.5833
Li3 0.2508 0.5845 0.9154
Li4 0.7513 0.0875 0.4116
Li5 0.7488 0.7459 0.7551
Li6 0.2493 0.2488 0.2513
Mn1 0.9938 0.6670 0.3319
Mn2 0.5061 0.1664 0.8348
Co1 0.4959 0.5005 0.4995
Co2 0.4981 0.8380 0.1676
Co3 0.0018 0.9954 0.9990
Co4 0.0040 0.3329 0.6672
O1 0.1414 0.6027 0.6222
O2 0.6227 0.1080 0.1281
O3 0.8773 0.7253 0.0386
O4 0.3586 0.2306 0.5445
O5 0.6460 0.4398 0.7848
O6 0.1164 0.9456 0.2866
O7 0.8540 0.3935 0.3819
O8 0.3835 0.8877 0.8800
O9 0.1388 0.2717 0.9569
O10 0.6259 0.7741 0.4503
O11 0.3612 0.5616 0.2097
O12 0.8741 0.0592 0.7164

SG ... P-1 (2)

---

(two)
A plane-wave DFT calculation with PBE+U was carried out for Li3MnCo2O6 after structural relaxation.

a = 2.9780 Å, b = 2.9780 Å, c = 14.5121 Å
α = 90.00°, β = 90.00°, γ = 120.00°
Sites, in units of the cell vectors:
Li1 0.3333 0.6667 0.3278
Li2 0.6667 0.3333 0.6722
Li3 0.0000 0.0000 0.0000
Mn1 0.0000 0.0000 0.5000
Co1 0.3333 0.6667 0.8335
Co2 0.6667 0.3333 0.1665
O1 0.3333 0.6667 0.5769
O2 0.6667 0.3333 0.9084
O3 0.0000 0.0000 0.2425
O4 0.3333 0.6667 0.0916
O5 0.6667 0.3333 0.4231
O6 0.0000 0.0000 0.7575

SG ... P-3m1 (164)

---

(three)
A plane-wave DFT calculation with PBE+U was carried out for Li3MnCo2O6 after structural relaxation.

a = 5.0862 Å, b = 7.8298 Å, c = 5.9019 Å
α = 79.33°, β = 106.17°, γ = 102.02°
Sites, in units of the cell vectors:
Li1 0.9997 0.6666 0.8333
Li2 0.4995 0.1664 0.3334
Li3 0.5011 0.8371 0.6641
Li4 0.0010 0.3324 0.1647
Li5 0.4991 0.4963 0.0026
Li6 0.9991 0.0009 0.5017
Mn1 0.4999 0.1669 0.8333
Mn2 0.0002 0.6668 0.3332
Co1 0.4998 0.4962 0.5036
Co2 0.5007 0.8372 0.1628
Co3 0.9997 0.0033 0.9968
Co4 0.0000 0.3299 0.6700
O1 0.2611 0.2438 0.9872
O2 0.7612 0.7432 0.4873
O3 0.2389 0.5899 0.1793
O4 0.7388 0.0896 0.6797
O5 0.2455 0.5851 0.6351
O6 0.7259 0.0845 0.1473
O7 0.2742 0.2488 0.5197
O8 0.7542 0.7480 0.0310
O9 0.2431 0.8939 0.3220
O10 0.7238 0.4021 0.8266
O11 0.2760 0.9313 0.8404
O12 0.7573 0.4397 0.3449

SG ... P-1 (2)

---

Taking the most stable structure as the zero point, the relative energies in eV/atom are (one) 0.027; (two) 0.078; (three) 0.000.

---

(one)
A plane-wave DFT calculation with PBE+U was carried out for MgV3CrO10 after structural relaxation.

a = 6.4780 Å, b = 6.6203 Å, c = 5.4318 Å
α = 87.79°, β = 93.92°, γ = 89.99°
Sites, in units of the cell vectors:
Mg1 0.2193 0.5690 0.0967
V1 0.2529 0.2650 0.5980
V2 0.7430 0.7330 0.3903
V3 0.7506 0.2411 0.4908
Cr1 0.2530 0.7602 0.5389
O1 0.0338 0.7276 0.3084
O2 0.2296 0.3063 0.2898
O3 0.2519 0.5373 0.7493
O4 0.2672 0.9793 0.6955
O5 0.4457 0.7141 0.3117
O6 0.5493 0.2591 0.6769
O7 0.7357 0.0118 0.3261
O8 0.7477 0.4567 0.2888
O9 0.7623 0.7149 0.6883
O10 0.9681 0.2445 0.6894

SG ... P1 (1)

---

(two)
A plane-wave DFT calculation with PBE+U was carried out for MgV3CrO10 after structural relaxation.

a = 6.6233 Å, b = 6.6525 Å, c = 4.9077 Å
α = 87.08°, β = 94.21°, γ = 89.82°
Sites, in units of the cell vectors:
Mg1 0.9854 0.4994 0.9909
V1 0.2285 0.2648 0.5822
V2 0.7376 0.7297 0.3987
V3 0.7337 0.2445 0.4932
Cr1 0.2339 0.7518 0.4894
O1 0.0162 0.7330 0.2609
O2 0.1812 0.3135 0.2478
O3 0.2189 0.5438 0.7248
O4 0.2351 0.9769 0.6442
O5 0.4497 0.7287 0.3184
O6 0.5199 0.2692 0.6664
O7 0.7341 0.0212 0.3338
O8 0.7480 0.4511 0.2511
O9 0.7861 0.6813 0.7331
O10 0.9517 0.2611 0.7260

SG ... P1 (1)

---

Taking the most stable structure as the zero point, the relative energies in eV/atom are (one) 0.053; (two) 0.000.

---

(one)
A plane-wave DFT calculation with PBE+U was carried out for Li2Co4O3F8 after structural relaxation.

a = 6.5387 Å, b = 6.8412 Å, c = 5.0544 Å
α = 104.14°, β = 96.74°, γ = 108.76°
Sites, in units of the cell vectors:
Li1 0.4052 0.6779 0.1840
Li2 0.5948 0.3221 0.8160
Co1 0.9694 0.9015 0.2485
Co2 0.7721 0.3456 0.3768
Co3 0.2279 0.6544 0.6232
Co4 0.0306 0.0985 0.7515
O1 0.0000 0.0000 0.0000
O2 0.9562 0.7382 0.5360
O3 0.0438 0.2618 0.4640
F1 0.8072 0.4925 0.1097
F2 0.6673 0.9457 0.1990
F3 0.4992 0.3792 0.2935
F4 0.2486 0.8052 0.3505
F5 0.7514 0.1948 0.6495
F6 0.5008 0.6208 0.7065
F7 0.3327 0.0543 0.8010
F8 0.1928 0.5075 0.8903

SG ... P-1 (2)

---

(two)
A plane-wave DFT calculation with PBE+U was carried out for Li2Co4O3F8 after structural relaxation.

a = 5.0544 Å, b = 6.5387 Å, c = 6.8412 Å
α = 108.76°, β = 104.14°, γ = 96.74°
Sites, in units of the cell vectors:
Li1 0.6779 0.1840 0.4052
Li2 0.3221 0.8160 0.5948
Co1 0.9015 0.2485 0.9694
Co2 0.3456 0.3768 0.7721
Co3 0.6544 0.6232 0.2279
Co4 0.0985 0.7515 0.0306
O1 0.0000 0.0000 0.0000
O2 0.7382 0.5360 0.9562
O3 0.2618 0.4640 0.0438
F1 0.4925 0.1097 0.8072
F2 0.9457 0.1990 0.6673
F3 0.3792 0.2935 0.4992
F4 0.8052 0.3505 0.2486
F5 0.1948 0.6495 0.7514
F6 0.6208 0.7065 0.5008
F7 0.0543 0.8010 0.3327
F8 0.5075 0.8903 0.1928

SG ... P-1 (2)

---

Taking the most stable structure as the zero point, the relative energies in eV/atom are (one) 0.551; (two) 0.000.

---

(one)
A plane-wave DFT calculation with PBE+U was carried out for Ni3P4O14 after structural relaxation.

a = 6.3412 Å, b = 8.5087 Å, c = 9.9933 Å
α = 108.55°, β = 93.17°, γ = 91.89°
Sites, in units of the cell vectors:
Ni1 0.0000 0.5000 0.5000
Ni2 0.2991 0.8967 0.6307
Ni3 0.3544 0.8792 0.0603
Ni4 0.5000 0.5000 0.0000
Ni5 0.6456 0.1208 0.9397
Ni6 0.7009 0.1033 0.3693
P1 0.1583 0.2010 0.0060
P2 0.1878 0.1757 0.3030
P3 0.2715 0.5501 0.7234
P4 0.4810 0.7476 0.3169
P5 0.5190 0.2524 0.6831
P6 0.7285 0.4499 0.2766
P7 0.8122 0.8243 0.6970
P8 0.8417 0.7990 0.9940
O1 0.0478 0.8589 0.0824
O2 0.0140 0.0830 0.3521
O3 0.0575 0.4486 0.6785
O4 0.0980 0.2130 0.1636
O5 0.2360 0.3713 0.0062
O6 0.2250 0.3464 0.4154
O7 0.2644 0.6614 0.6289
O8 0.3130 0.8134 0.4189
O9 0.3298 0.6349 0.8809
O10 0.3227 0.1333 0.6432
O11 0.3308 0.0707 0.9665
O12 0.4100 0.7056 0.1583
O13 0.3904 0.0819 0.2641
O14 0.4606 0.4290 0.6701
O15 0.5394 0.5710 0.3299
O16 0.6096 0.9181 0.7359
O17 0.5900 0.2944 0.8417
O18 0.6692 0.9293 0.0335
O19 0.6773 0.8667 0.3568
O20 0.6702 0.3651 0.1191
O21 0.6870 0.1866 0.5811
O22 0.7356 0.3386 0.3711
O23 0.7750 0.6536 0.5846
O24 0.7640 0.6287 0.9938
O25 0.9020 0.7870 0.8364
O26 0.9425 0.5514 0.3215
O27 0.9860 0.9170 0.6479
O28 0.9522 0.1411 0.9176

SG ... P-1 (2)

---

(two)
A plane-wave DFT calculation with PBE+U was carried out for Ni3P4O14 after structural relaxation.

a = 5.2853 Å, b = 6.3811 Å, c = 16.0348 Å
α = 81.74°, β = 80.53°, γ = 73.04°
Sites, in units of the cell vectors:
Ni1 0.7951 0.7228 0.4052
Ni2 0.2049 0.2772 0.5948
Ni3 0.0435 0.6348 0.8137
Ni4 0.2297 0.9599 0.3316
Ni5 0.9565 0.3652 0.1863
Ni6 0.7703 0.0401 0.6684
P1 0.6388 0.5748 0.6784
P2 0.3006 0.7800 0.5435
P3 0.6994 0.2200 0.4565
P4 0.5588 0.2348 0.0784
P5 0.3612 0.4252 0.3216
P6 0.8229 0.8882 0.2092
P7 0.1771 0.1118 0.7908
P8 0.4412 0.7652 0.9216
O1 0.7418 0.6735 0.9094
O2 0.6167 0.4514 0.2693
O3 0.3833 0.5486 0.7307
O4 0.4081 0.8443 0.4511
O5 0.9983 0.9678 0.7786
O6 0.2189 0.2827 0.2876
O7 0.3607 0.1480 0.7068
O8 0.7072 0.3909 0.0983
O9 0.6393 0.8520 0.2932
O10 0.4281 0.2971 0.4130
O11 0.8792 0.0158 0.4139
O12 0.0142 0.3247 0.8254
O13 0.8294 0.4057 0.4458
O14 0.8285 0.3484 0.6582
O15 0.2582 0.3265 0.0906
O16 0.7811 0.7173 0.7124
O17 0.5919 0.1557 0.5489
O18 0.1208 0.9842 0.5861
O19 0.1706 0.5943 0.5542
O20 0.2928 0.6091 0.9017
O21 0.1715 0.6516 0.3418
O22 0.0017 0.0322 0.2214
O23 0.9858 0.6753 0.1746
O24 0.3284 0.8354 0.0100
O25 0.5719 0.7029 0.5870
O26 0.3855 0.9817 0.8535
O27 0.6716 0.1646 0.9900
O28 0.6145 0.0183 0.1465

SG ... P-1 (2)

---

Taking the most stable structure as the zero point, the relative energies in eV/atom are (one) 0.012; (two) 0.000.